Entry 1:
Density functional theory data (meta-GGA r2SCAN) for a relaxed ErFe2Ge2 crystal.

Cell: 3.8853 3.8853 10.8375 Å, 90.00 90.00 90.00°
Space group I4/mmm (No. 139)
Inequivalent atoms, fractional coordinates:
1 Er 0.0000 0.0000 0.0000 (multiplicity 2)
2 Fe 0.0000 0.5000 0.2500 (multiplicity 4)
3 Ge 0.0000 0.0000 0.3867 (multiplicity 4)

ΔE_f, kcal/mol of atoms: -10.71
Calculated volume, Å³/atom: 16.360
Spin magnetization, μB per formula unit: 5.30


Entry 2:
Density functional theory data (meta-GGA r2SCAN) for a relaxed Y2Se3O12 crystal.

Cell: 13.1605 9.6114 9.6887 Å, 90.00 90.00 90.00°
Space group Pbcn (No. 60)
Inequivalent atoms, fractional coordinates:
1 Y 0.1202 0.2500 0.0382 (multiplicity 8)
2 Se 0.0000 0.0336 0.7500 (multiplicity 4)
3 Se 0.1464 0.3973 0.3848 (multiplicity 8)
4 O 0.0303 0.3422 0.4135 (multiplicity 8)
5 O 0.0624 0.1326 0.8580 (multiplicity 8)
6 O 0.0823 0.0637 0.1673 (multiplicity 8)
7 O 0.1512 0.4331 0.9013 (multiplicity 8)
8 O 0.1814 0.3563 0.2274 (multiplicity 8)
9 O 0.2222 0.3242 0.4979 (multiplicity 8)

ΔE_f, kcal/mol of atoms: -39.88
Calculated volume, Å³/atom: 18.022
Spin magnetization, μB per formula unit: 0.00


Entry 3:
Density functional theory data (meta-GGA r2SCAN) for a relaxed ZrAu3 crystal.

Cell: 4.8555 6.1212 4.9175 Å, 90.00 90.00 90.00°
Space group Pmmn (No. 59, origin choice 2)
Inequivalent atoms, fractional coordinates:
1 Zr 0.2500 0.2500 0.1609 (multiplicity 2)
2 Au 0.2500 0.5036 0.6653 (multiplicity 4)
3 Au 0.2500 0.7500 0.1601 (multiplicity 2)

ΔE_f, kcal/mol of atoms: -12.96
Calculated volume, Å³/atom: 18.269
Spin magnetization, μB per formula unit: 0.00


Entry 4:
Density functional theory data (meta-GGA r2SCAN) for a relaxed Li2Se crystal.

Cell: 5.9521 5.9521 5.9521 Å, 90.00 90.00 90.00°
Space group Fm-3m (No. 225)
Inequivalent atoms, fractional coordinates:
1 Li 0.2500 0.2500 0.2500 (multiplicity 8)
2 Se 0.0000 0.0000 0.0000 (multiplicity 4)

ΔE_f, kcal/mol of atoms: -33.48
Calculated volume, Å³/atom: 17.572
Spin magnetization, μB per formula unit: 0.00


Entry 5:
Density functional theory data (meta-GGA r2SCAN) for a relaxed MgO crystal.

Cell: 2.9605 2.9605 29.4156 Å, 90.00 90.00 120.00°
Space group P6_3/mmc (No. 194)
Inequivalent atoms, fractional coordinates:
1 Mg 0.0000 0.0000 0.0000 (multiplicity 2)
2 Mg 0.0000 0.0000 0.2500 (multiplicity 2)
3 Mg 0.3333 0.6667 0.0826 (multiplicity 4)
4 Mg 0.3333 0.6667 0.6650 (multiplicity 4)
5 O 0.0000 0.0000 0.1238 (multiplicity 4)
6 O 0.3333 0.6667 0.2061 (multiplicity 4)
7 O 0.3333 0.6667 0.5413 (multiplicity 4)

ΔE_f, kcal/mol of atoms: -68.03
Calculated volume, Å³/atom: 9.303
Spin magnetization, μB per formula unit: 0.00


Entry 6:
Density functional theory data (meta-GGA r2SCAN) for a relaxed Dy6Zn23 crystal.

Cell: 12.5430 12.5430 12.5430 Å, 90.00 90.00 90.00°
Space group Fm-3m (No. 225)
Inequivalent atoms, fractional coordinates:
1 Dy 0.0000 0.0000 0.2079 (multiplicity 24)
2 Zn 0.0000 0.0000 0.5000 (multiplicity 4)
3 Zn 0.0000 0.2500 0.2500 (multiplicity 24)
4 Zn 0.1232 0.1232 0.3768 (multiplicity 32)
5 Zn 0.1723 0.1723 0.1723 (multiplicity 32)

ΔE_f, kcal/mol of atoms: -8.12
Calculated volume, Å³/atom: 17.012
Spin magnetization, μB per formula unit: 0.00


Entry 7:
Density functional theory data (meta-GGA r2SCAN) for a relaxed Rb2Hg3Se4 crystal.

Cell: 6.5373 11.8405 14.6756 Å, 90.00 90.00 90.00°
Space group Ibam (No. 72)
Inequivalent atoms, fractional coordinates:
1 Rb 0.2273 0.1198 0.0000 (multiplicity 8)
2 Hg 0.0000 0.1608 0.2500 (multiplicity 8)
3 Hg 0.0000 0.5000 0.2500 (multiplicity 4)
4 Se 0.2240 0.3685 0.1353 (multiplicity 16)

ΔE_f, kcal/mol of atoms: -16.19
Calculated volume, Å³/atom: 31.555
Spin magnetization, μB per formula unit: 0.00


Entry 8:
Density functional theory data (meta-GGA r2SCAN) for a relaxed CeGa2 crystal.

Cell: 4.2507 4.2507 4.3388 Å, 90.00 90.00 120.00°
Space group P6/mmm (No. 191)
Inequivalent atoms, fractional coordinates:
1 Ce 0.0000 0.0000 0.0000 (multiplicity 1)
2 Ga 0.3333 0.6667 0.5000 (multiplicity 2)

ΔE_f, kcal/mol of atoms: -16.69
Calculated volume, Å³/atom: 22.630
Spin magnetization, μB per formula unit: 1.08


Please write out number 6 again, unchanged.
Density functional theory data (meta-GGA r2SCAN) for a relaxed Dy6Zn23 crystal.

Cell: 12.5430 12.5430 12.5430 Å, 90.00 90.00 90.00°
Space group Fm-3m (No. 225)
Inequivalent atoms, fractional coordinates:
1 Dy 0.0000 0.0000 0.2079 (multiplicity 24)
2 Zn 0.0000 0.0000 0.5000 (multiplicity 4)
3 Zn 0.0000 0.2500 0.2500 (multiplicity 24)
4 Zn 0.1232 0.1232 0.3768 (multiplicity 32)
5 Zn 0.1723 0.1723 0.1723 (multiplicity 32)

ΔE_f, kcal/mol of atoms: -8.12
Calculated volume, Å³/atom: 17.012
Spin magnetization, μB per formula unit: 0.00


- Which formula does entry 5 have?
  MgO


- Which of these has the highest spin magnetization?
  ErFe2Ge2